No. 1
# CeThN2 | Materials Project | GGA-PBE | relaxed
# **DFT total energy**: -9.053 eV per atom
# **Formation enthalpy at 0 K**: -1.729 eV/atom
data_CeThN2
_cell_length_a 3.6218
_cell_length_b 3.6218
_cell_length_c 17.7357
_cell_angle_alpha 90.00
_cell_angle_beta 90.00
_cell_angle_gamma 120.00
_symmetry_space_group_name_H-M 'R -3 m'
_symmetry_Int_Tables_number 166
_symmetry_space_group_name_Hall '-R 3 2"'
loop_
_atom_site_label
_atom_site_fract_x
_atom_site_fract_y
_atom_site_fract_z
Ce1 0.0000 0.0000 0.0000
Th1 0.0000 0.0000 0.5000
N1 0.0000 0.0000 0.2506

=====

No. 2
# CeUN2 | Materials Project | GGA-PBE | relaxed
# **DFT total energy**: -9.850 eV per atom
# **Total moment**: 0.73 Bohr magnetons per cell
# **Formation enthalpy at 0 K**: -1.556 eV/atom
data_CeUN2
_cell_length_a 3.4874
_cell_length_b 3.4874
_cell_length_c 4.9314
_cell_angle_alpha 90.00
_cell_angle_beta 90.00
_cell_angle_gamma 90.00
_symmetry_space_group_name_H-M 'P 4/m m m'
_symmetry_Int_Tables_number 123
_symmetry_space_group_name_Hall '-P 4 2'
loop_
_atom_site_label
_atom_site_fract_x
_atom_site_fract_y
_atom_site_fract_z
Ce1 0.0000 0.0000 0.0000
U1 0.5000 0.5000 0.5000
N1 0.0000 0.0000 0.5000
N2 0.5000 0.5000 0.0000

=====

No. 3
# CeUN2 | Materials Project | GGA-PBE | relaxed
# **DFT total energy**: -9.905 eV per atom
# **Formation enthalpy at 0 K**: -1.611 eV/atom
data_CeUN2
_cell_length_a 3.4995
_cell_length_b 3.4995
_cell_length_c 17.1256
_cell_angle_alpha 90.00
_cell_angle_beta 90.00
_cell_angle_gamma 120.00
_symmetry_space_group_name_H-M 'R -3 m'
_symmetry_Int_Tables_number 166
_symmetry_space_group_name_Hall '-R 3 2"'
loop_
_atom_site_label
_atom_site_fract_x
_atom_site_fract_y
_atom_site_fract_z
Ce1 0.0000 0.0000 0.0000
U1 0.0000 0.0000 0.5000
N1 0.0000 0.0000 0.2399

=====

No. 4
# NaCeNb2O6 | Materials Project | GGA-PBE | relaxed
# **DFT total energy**: -8.270 eV per atom
# **Total moment**: 4.31 Bohr magnetons per cell
# **Formation enthalpy at 0 K**: -2.968 eV/atom
data_NaCeNb2O6
_cell_length_a 8.1098
_cell_length_b 8.1098
_cell_length_c 8.1098
_cell_angle_alpha 90.00
_cell_angle_beta 90.00
_cell_angle_gamma 90.00
_symmetry_space_group_name_H-M 'F m -3 m'
_symmetry_Int_Tables_number 225
_symmetry_space_group_name_Hall '-F 4 2 3'
loop_
_atom_site_label
_atom_site_fract_x
_atom_site_fract_y
_atom_site_fract_z
Na1 0.0000 0.0000 0.0000
Ce1 0.0000 0.0000 0.5000
Nb1 0.2500 0.2500 0.2500
O1 0.0000 0.2500 0.2500

=====

No. 5
# NaSrCeNbO6 | Materials Project | GGA-PBE | relaxed
# **DFT total energy**: -7.617 eV per atom
# **Total moment**: 0.00 Bohr magnetons per cell
# **Formation enthalpy at 0 K**: -3.156 eV/atom
data_NaSrCeNbO6
_cell_length_a 8.4678
_cell_length_b 8.4678
_cell_length_c 8.4678
_cell_angle_alpha 90.00
_cell_angle_beta 90.00
_cell_angle_gamma 90.00
_symmetry_space_group_name_H-M 'F -4 3 m'
_symmetry_Int_Tables_number 216
_symmetry_space_group_name_Hall 'F -4 2 3'
loop_
_atom_site_label
_atom_site_fract_x
_atom_site_fract_y
_atom_site_fract_z
Na1 0.0000 0.0000 0.0000
Sr1 0.0000 0.0000 0.5000
Ce1 0.2500 0.2500 0.2500
Nb1 0.2500 0.2500 0.7500
O1 0.0125 0.2500 0.7500

=====

No. 6
# Na5Ce3Ti6Nb2O24 | Materials Project | GGA-PBE | relaxed
# **DFT total energy**: -8.114 eV per atom
# **Total moment**: 2.95 Bohr magnetons per cell
# **Polymorph energy (0 for the lowest one)**: 0.000 eV/atom
# **Formation enthalpy at 0 K**: -3.257 eV/atom
data_Na5Ce3Ti6Nb2O24
_cell_length_a 5.5122
_cell_length_b 5.5385
_cell_length_c 15.5211
_cell_angle_alpha 90.00
_cell_angle_beta 89.95
_cell_angle_gamma 89.96
_symmetry_space_group_name_H-M 'P 1'
_symmetry_Int_Tables_number 1
loop_
_symmetry_equiv_pos_as_xyz
'x,y,z'
loop_
_atom_site_label
_atom_site_fract_x
_atom_site_fract_y
_atom_site_fract_z
Na1 0.0000 0.0000 0.0000
Na2 0.0029 0.9958 0.5009
Na3 0.4714 0.4964 0.4999
Na4 0.4948 0.4882 0.2486
Na5 0.5035 0.4871 0.7517
Ce1 0.4790 0.5067 0.0008
Ce2 0.9789 0.9830 0.2478
Ce3 0.9861 0.9810 0.7525
Ti1 0.4868 0.9921 0.3711
Ti2 0.4953 0.9950 0.1223
Ti3 0.4964 0.9948 0.8768
Ti4 0.9946 0.4916 0.6298
Ti5 0.9950 0.4923 0.8759
Ti6 0.9946 0.4927 0.1265
Nb1 0.4922 0.9932 0.6186
Nb2 0.9865 0.4913 0.3819
O1 0.0621 0.4972 0.2465
O2 0.0687 0.4979 0.7519
O3 0.2259 0.7557 0.3901
O4 0.2285 0.7505 0.6096
O5 0.2354 0.7461 0.1021
O6 0.2370 0.2410 0.3912
O7 0.2405 0.7455 0.8976
O8 0.2418 0.2493 0.6085
O9 0.2515 0.2559 0.1008
O10 0.2571 0.2569 0.8990
O11 0.3987 0.9962 0.2472
O12 0.4042 0.9969 0.7538
O13 0.5674 0.9901 0.4974
O14 0.5677 0.9853 0.0001
O15 0.7320 0.7463 0.3472
O16 0.7350 0.7404 0.1449
O17 0.7415 0.7405 0.8548
O18 0.7422 0.2297 0.3472
O19 0.7439 0.7434 0.6522
O20 0.7502 0.2299 0.1456
O21 0.7575 0.2291 0.8540
O22 0.7568 0.2304 0.6521
O23 0.8985 0.4892 0.9994
O24 0.9036 0.4912 0.5019

=====

No. 7
# Na5Ce3Ti6Nb2O24 | Materials Project | GGA-PBE | relaxed
# **DFT total energy**: -8.110 eV per atom
# **Polymorph energy (0 for the lowest one)**: 0.004 eV/atom
# **Formation enthalpy at 0 K**: -3.254 eV/atom
data_Na5Ce3Ti6Nb2O24
_cell_length_a 5.5094
_cell_length_b 5.5264
_cell_length_c 15.4009
_cell_angle_alpha 90.00
_cell_angle_beta 90.11
_cell_angle_gamma 90.00
_symmetry_space_group_name_H-M 'P 1 m 1'
_symmetry_Int_Tables_number 6
loop_
_symmetry_equiv_pos_as_xyz
'x,y,z'
'x,-y,z'
loop_
_atom_site_label
_atom_site_fract_x
_atom_site_fract_y
_atom_site_fract_z
Na1 0.0000 0.0000 0.0000
Na2 0.0033 0.0000 0.4964
Na3 0.4936 0.5000 0.2473
Na4 0.5099 0.5000 0.7505
Na5 0.5306 0.5000 0.9970
Ce1 0.0140 0.0000 0.2496
Ce2 0.0303 0.0000 0.7457
Ce3 0.5284 0.5000 0.4988
Ti1 0.0251 0.5000 0.6245
Ti2 0.4947 0.0000 0.3749
Ti3 0.5257 0.0000 0.6211
Ti4 0.5272 0.0000 0.8726
Ti5 0.9960 0.5000 0.1244
Ti6 0.9978 0.5000 0.3727
Nb1 0.0218 0.5000 0.8789
Nb2 0.5016 0.0000 0.1181
O1 0.1052 0.5000 0.0005
O2 0.1089 0.5000 0.4974
O3 0.2545 0.2472 0.1513
O4 0.2588 0.2472 0.3504
O5 0.2648 0.2435 0.8458
O6 0.2646 0.2505 0.6444
O7 0.4277 0.0000 0.9963
O8 0.4346 0.0000 0.4983
O9 0.6043 0.0000 0.2515
O10 0.6052 0.0000 0.7467
O11 0.7605 0.2525 0.3969
O12 0.7644 0.2505 0.6000
O13 0.7694 0.2455 0.1054
O14 0.7703 0.2422 0.8918
O15 0.9318 0.5000 0.2492
O16 0.9340 0.5000 0.7454

=====

No. 8
# Na2CeO3 | Materials Project | GGA-PBE | relaxed
# **DFT total energy**: -6.393 eV per atom
# **Total moment**: 0.01 Bohr magnetons per cell
# **Formation enthalpy at 0 K**: -2.833 eV/atom
data_Na2CeO3
_cell_length_a 6.0718
_cell_length_b 10.4666
_cell_length_c 33.1694
_cell_angle_alpha 90.00
_cell_angle_beta 90.39
_cell_angle_gamma 90.00
_symmetry_space_group_name_H-M 'C 1 2/c 1'
_symmetry_Int_Tables_number 15
loop_
_symmetry_equiv_pos_as_xyz
'x,y,z'
'-x,-y,-z'
'-x,y,-z+1/2'
'x,-y,z+1/2'
'x+1/2,y+1/2,z'
'-x+1/2,-y+1/2,-z'
'-x+1/2,y+1/2,-z+1/2'
'x+1/2,-y+1/2,z+1/2'
loop_
_atom_site_label
_atom_site_fract_x
_atom_site_fract_y
_atom_site_fract_z
Na1 0.0000 0.0000 0.0000
Na2 0.0000 0.3316 0.2500
Na3 0.0203 0.3317 0.0009
Na4 0.1636 0.1791 0.1671
Na5 0.1649 0.1617 0.9168
Na6 0.1685 0.1680 0.6667
Na7 0.1753 0.4896 0.1658
Ce1 0.0000 0.0017 0.7500
Ce2 0.0000 0.3366 0.7500
Ce3 0.1654 0.4951 0.9162
Ce4 0.1661 0.1711 0.4172
O1 0.0174 0.0208 0.1190
O2 0.0196 0.3445 0.6193
O3 0.0274 0.3371 0.3797
O4 0.1357 0.1688 0.7871
O5 0.1493 0.4804 0.5473
O6 0.1518 0.1558 0.0461
O7 0.1843 0.1491 0.2860
O8 0.1852 0.4863 0.7860
O9 0.2010 0.1612 0.5473

=====

No. 9
# Na2CeO3 | Materials Project | GGA-PBE | relaxed
# **DFT total energy**: -6.378 eV per atom
# **Total moment**: 0.01 Bohr magnetons per cell
# **Formation enthalpy at 0 K**: -2.818 eV/atom
data_Na2CeO3
_cell_length_a 11.2395
_cell_length_b 10.3788
_cell_length_c 18.3808
_cell_angle_alpha 90.00
_cell_angle_beta 99.30
_cell_angle_gamma 90.00
_symmetry_space_group_name_H-M 'C 1 2/c 1'
_symmetry_Int_Tables_number 15
loop_
_symmetry_equiv_pos_as_xyz
'x,y,z'
'-x,-y,-z'
'-x,y,-z+1/2'
'x,-y,z+1/2'
'x+1/2,y+1/2,z'
'-x+1/2,-y+1/2,-z'
'-x+1/2,y+1/2,-z+1/2'
'x+1/2,-y+1/2,z+1/2'
loop_
_atom_site_label
_atom_site_fract_x
_atom_site_fract_y
_atom_site_fract_z
Na1 0.0000 0.0858 0.2500
Na2 0.0007 0.4173 0.5819
Na3 0.2445 0.4269 0.5044
Na4 0.2475 0.4218 0.1657
Na5 0.2480 0.2424 0.3317
Na6 0.2489 0.4120 0.8346
Na7 0.2500 0.2500 0.0000
Ce1 0.0000 0.2496 0.7500
Ce2 0.0000 0.4146 0.2500
Ce3 0.0012 0.0843 0.5861
Ce4 0.0006 0.2615 0.0807
O1 0.1049 0.0842 0.0383
O2 0.1060 0.2354 0.5370
O3 0.1059 0.2644 0.1996
O4 0.1067 0.0823 0.3834
O5 0.1068 0.2328 0.8659
O6 0.1077 0.0974 0.6995
O7 0.1090 0.4050 0.3666
O8 0.1120 0.4156 0.7193
O9 0.1168 0.3994 0.0446

=====

No. 10
# Na2CeO3 | Materials Project | GGA-PBE | relaxed
# **DFT total energy**: -6.093 eV per atom
# **Total moment**: 0.00 Bohr magnetons per cell
# **Formation enthalpy at 0 K**: -2.533 eV/atom
data_Na2CeO3
_cell_length_a 4.2703
_cell_length_b 4.2703
_cell_length_c 4.6886
_cell_angle_alpha 90.00
_cell_angle_beta 90.00
_cell_angle_gamma 90.00
_symmetry_space_group_name_H-M 'P 4/m m m'
_symmetry_Int_Tables_number 123
_symmetry_space_group_name_Hall '-P 4 2'
loop_
_atom_site_label
_atom_site_fract_x
_atom_site_fract_y
_atom_site_fract_z
Na1 0.0000 0.5000 0.0000
Ce1 0.0000 0.0000 0.5000
O1 0.0000 0.0000 0.0000
O2 0.0000 0.5000 0.5000

=====

No. 11
# Na2CeO3 | Materials Project | GGA-PBE | relaxed
# **DFT total energy**: -6.394 eV per atom
# **Formation enthalpy at 0 K**: -2.834 eV/atom
data_Na2CeO3
_cell_length_a 6.0570
_cell_length_b 10.5345
_cell_length_c 11.3045
_cell_angle_alpha 90.00
_cell_angle_beta 100.41
_cell_angle_gamma 90.00
_symmetry_space_group_name_H-M 'C 1 2/c 1'
_symmetry_Int_Tables_number 15
loop_
_symmetry_equiv_pos_as_xyz
'x,y,z'
'-x,-y,-z'
'-x,y,-z+1/2'
'x,-y,z+1/2'
'x+1/2,y+1/2,z'
'-x+1/2,-y+1/2,-z'
'-x+1/2,y+1/2,-z+1/2'
'x+1/2,-y+1/2,z+1/2'
loop_
_atom_site_label
_atom_site_fract_x
_atom_site_fract_y
_atom_site_fract_z
Na1 0.0000 0.0830 0.2500
Na2 0.2365 0.0780 0.0008
Na3 0.2500 0.2500 0.5000
Ce1 0.0000 0.2504 0.7500
Ce2 0.0000 0.4168 0.2500
O1 0.0991 0.4170 0.6429
O2 0.1454 0.0991 0.6391
O3 0.1478 0.2665 0.1428